! ScAlGe | the Materials Project | PBE-GGA | optimized geometry; values from VASP
&SYSTEM
  ibrav = 0, nat = 6, ntyp = 3
/
ATOMIC_SPECIES
Al 26.98 Al.upf
Ge 72.64 Ge.upf
Sc 44.96 Sc.upf
ATOMIC_POSITIONS crystal
Al 0.0000 0.0000 0.0000
Al 0.0000 0.0000 0.5000
Ge 0.3879 0.6121 0.2500
Ge 0.6121 0.3879 0.7500
Sc 0.6911 0.3089 0.2500
Sc 0.3089 0.6911 0.7500
CELL_PARAMETERS angstrom
-2.5198 4.6716 0.3443
-1.2029 -4.8844 -1.7284
-1.8073 -1.3484 5.0685
! electronic total energy = -32.92 eV/cell
! space-group type = Cmcm
! calculated density = 4.41 g/cm3
! energy relative to the elements = -587 meV per atom